Entry 1:
Density functional theory data (GGA+U) for a relaxed Ni2P4C11S2O3F24 crystal.

Output
space-group type: No. 60
spin magnetization: 0.0000 μB per atom

Unit cell a=10.592 b=14.415 c=19.008 alpha=90.00 beta=90.00 gamma=90.00
Atoms (fractional coordinates):
Ni1 0.008 0.202 0.182
Ni2 0.008 0.798 0.682
Ni3 0.492 0.298 0.682
Ni4 0.492 0.702 0.182
Ni5 0.508 0.298 0.818
Ni6 0.508 0.702 0.318
Ni7 0.992 0.202 0.318
Ni8 0.992 0.798 0.818
P1 0.139 0.098 0.337
P2 0.139 0.902 0.837
P3 0.201 0.148 0.180
P4 0.201 0.852 0.680
P5 0.299 0.352 0.680
P6 0.299 0.648 0.180
P7 0.361 0.402 0.837
P8 0.361 0.598 0.337
P9 0.639 0.402 0.663
P10 0.639 0.598 0.163
P11 0.701 0.352 0.820
P12 0.701 0.648 0.320
P13 0.799 0.148 0.320
P14 0.799 0.852 0.820
P15 0.861 0.098 0.163
P16 0.861 0.902 0.663
C1 0.000 0.301 0.250
C2 0.000 0.699 0.750
C3 0.002 0.277 0.393
C4 0.002 0.723 0.893
C5 0.107 0.027 0.867
C6 0.107 0.973 0.367
C7 0.177 0.254 0.676
C8 0.177 0.746 0.176
C9 0.235 0.422 0.602
C10 0.235 0.578 0.102
C11 0.250 0.130 0.413
C12 0.250 0.370 0.913
C13 0.250 0.630 0.413
C14 0.250 0.870 0.913
C15 0.265 0.078 0.102
C16 0.265 0.922 0.602
C17 0.323 0.246 0.176
C18 0.323 0.754 0.676
C19 0.393 0.473 0.367
C20 0.393 0.527 0.867
C21 0.498 0.223 0.893
C22 0.498 0.777 0.393
C23 0.500 0.199 0.750
C24 0.500 0.801 0.250
C25 0.502 0.223 0.607
C26 0.502 0.777 0.107
C27 0.607 0.473 0.133
C28 0.607 0.527 0.633
C29 0.677 0.246 0.324
C30 0.677 0.754 0.824
C31 0.735 0.078 0.398
C32 0.735 0.922 0.898
C33 0.750 0.130 0.087
C34 0.750 0.370 0.587
C35 0.750 0.630 0.087
C36 0.750 0.870 0.587
C37 0.765 0.422 0.898
C38 0.765 0.578 0.398
C39 0.823 0.254 0.824
C40 0.823 0.746 0.324
C41 0.893 0.027 0.633
C42 0.893 0.973 0.133
C43 0.998 0.277 0.107
C44 0.998 0.723 0.607
S1 0.220 0.434 0.761
S2 0.220 0.566 0.261
S3 0.280 0.066 0.261
S4 0.280 0.934 0.761
S5 0.720 0.066 0.239
S6 0.720 0.934 0.739
S7 0.780 0.434 0.739
S8 0.780 0.566 0.239
O1 0.000 0.383 0.250
O2 0.000 0.617 0.750
O3 0.005 0.326 0.441
O4 0.005 0.674 0.941
O5 0.495 0.174 0.941
O6 0.495 0.826 0.441
O7 0.500 0.117 0.750
O8 0.500 0.883 0.250
O9 0.505 0.174 0.559
O10 0.505 0.826 0.059
O11 0.995 0.326 0.059
O12 0.995 0.674 0.559
F1 0.023 0.067 0.823
F2 0.023 0.933 0.323
F3 0.055 0.282 0.676
F4 0.055 0.718 0.176
F5 0.056 0.026 0.933
F6 0.056 0.974 0.433
F7 0.110 0.443 0.606
F8 0.110 0.557 0.106
F9 0.156 0.432 0.926
F10 0.156 0.568 0.426
F11 0.182 0.140 0.473
F12 0.182 0.860 0.973
F13 0.193 0.198 0.733
F14 0.193 0.802 0.233
F15 0.196 0.202 0.617
F16 0.196 0.287 0.898
F17 0.196 0.713 0.398
F18 0.196 0.798 0.117
F19 0.201 0.004 0.597
F20 0.201 0.996 0.097
F21 0.212 0.081 0.869
F22 0.212 0.919 0.369
F23 0.246 0.127 0.042
F24 0.246 0.873 0.542
F25 0.254 0.373 0.542
F26 0.254 0.627 0.042
F27 0.288 0.419 0.369
F28 0.288 0.581 0.869
F29 0.299 0.496 0.097
F30 0.299 0.504 0.597
F31 0.304 0.213 0.398
F32 0.304 0.298 0.117
F33 0.304 0.702 0.617
F34 0.304 0.787 0.898
F35 0.307 0.302 0.233
F36 0.307 0.698 0.733
F37 0.318 0.360 0.973
F38 0.318 0.640 0.473
F39 0.344 0.068 0.426
F40 0.344 0.932 0.926
F41 0.390 0.057 0.106
F42 0.390 0.943 0.606
F43 0.444 0.474 0.433
F44 0.444 0.526 0.933
F45 0.445 0.218 0.176
F46 0.445 0.782 0.676
F47 0.477 0.433 0.323
F48 0.477 0.567 0.823
F49 0.523 0.433 0.177
F50 0.523 0.567 0.677
F51 0.555 0.218 0.324
F52 0.555 0.782 0.824
F53 0.556 0.474 0.067
F54 0.556 0.526 0.567
F55 0.610 0.057 0.394
F56 0.610 0.943 0.894
F57 0.656 0.068 0.074
F58 0.656 0.932 0.574
F59 0.682 0.360 0.527
F60 0.682 0.640 0.027
F61 0.693 0.302 0.267
F62 0.693 0.698 0.767
F63 0.696 0.213 0.102
F64 0.696 0.298 0.383
F65 0.696 0.702 0.883
F66 0.696 0.787 0.602
F67 0.701 0.496 0.403
F68 0.701 0.504 0.903
F69 0.712 0.419 0.131
F70 0.712 0.581 0.631
F71 0.746 0.373 0.958
F72 0.746 0.627 0.458
F73 0.754 0.127 0.458
F74 0.754 0.873 0.958
F75 0.788 0.081 0.631
F76 0.788 0.919 0.131
F77 0.799 0.004 0.903
F78 0.799 0.996 0.403
F79 0.804 0.202 0.883
F80 0.804 0.287 0.602
F81 0.804 0.713 0.102
F82 0.804 0.798 0.383
F83 0.807 0.198 0.767
F84 0.807 0.802 0.267
F85 0.818 0.140 0.027
F86 0.818 0.860 0.527
F87 0.844 0.432 0.574
F88 0.844 0.568 0.074
F89 0.890 0.443 0.894
F90 0.890 0.557 0.394
F91 0.944 0.026 0.567
F92 0.944 0.974 0.067
F93 0.945 0.282 0.824
F94 0.945 0.718 0.324
F95 0.977 0.067 0.677
F96 0.977 0.933 0.177

Entry 2:
Density functional theory data (GGA+U) for a relaxed Sb3WC6O6F17 crystal.

Output
space-group type: No. 4
spin magnetization: 0.0000 μB per atom

Unit cell a=8.330 b=16.911 c=8.392 alpha=90.00 beta=111.46 gamma=90.00
Atoms (fractional coordinates):
Sb1 0.007 0.000 0.070
Sb2 0.152 0.758 0.600
Sb3 0.367 0.450 0.381
Sb4 0.633 0.950 0.619
Sb5 0.848 0.258 0.400
Sb6 0.993 0.500 0.930
W1 0.320 0.212 0.764
W2 0.680 0.712 0.236
C1 0.196 0.099 0.673
C2 0.217 0.242 0.957
C3 0.372 0.192 0.531
C4 0.399 0.334 0.823
C5 0.410 0.712 0.159
C6 0.428 0.131 0.962
C7 0.572 0.631 0.038
C8 0.590 0.212 0.841
C9 0.601 0.834 0.177
C10 0.628 0.692 0.469
C11 0.783 0.742 0.043
C12 0.804 0.599 0.327
O1 0.140 0.038 0.631
O2 0.162 0.260 0.058
O3 0.263 0.716 0.120
O4 0.400 0.179 0.411
O5 0.440 0.398 0.858
O6 0.477 0.085 0.072
O7 0.523 0.585 0.928
O8 0.560 0.898 0.142
O9 0.600 0.679 0.589
O10 0.737 0.216 0.880
O11 0.838 0.760 0.942
O12 0.860 0.538 0.369
F1 0.014 0.718 0.720
F2 0.056 0.086 0.946
F3 0.061 0.408 0.839
F4 0.082 0.266 0.607
F5 0.113 0.863 0.652
F6 0.136 0.453 0.172
F7 0.138 0.046 0.285
F8 0.159 0.654 0.517
F9 0.192 0.943 0.043
F10 0.201 0.551 0.945
F11 0.240 0.493 0.506
F12 0.261 0.794 0.449
F13 0.298 0.346 0.423
F14 0.363 0.747 0.793
F15 0.416 0.553 0.319
F16 0.424 0.944 0.427
F17 0.458 0.406 0.222
F18 0.542 0.906 0.778
F19 0.576 0.444 0.573
F20 0.584 0.053 0.681
F21 0.637 0.247 0.207
F22 0.702 0.846 0.577
F23 0.739 0.294 0.551
F24 0.760 0.993 0.494
F25 0.799 0.051 0.055
F26 0.808 0.443 0.957
F27 0.841 0.154 0.483
F28 0.862 0.546 0.715
F29 0.864 0.953 0.828
F30 0.887 0.363 0.348
F31 0.918 0.766 0.393
F32 0.939 0.908 0.161
F33 0.944 0.586 0.054
F34 0.986 0.218 0.280

Entry 3:
Density functional theory data (GGA+U) for a relaxed FeH24C6I2O6 crystal.

Output
space-group type: No. 2
spin magnetization: 0.1026 μB per atom

Unit cell a=7.376 b=8.435 c=8.445 alpha=60.15 beta=89.62 gamma=89.99
Atoms (fractional coordinates):
Fe1 0.000 0.000 0.000
H1 0.173 0.425 0.833
H2 0.173 0.833 0.742
H3 0.174 0.741 0.426
H4 0.176 0.662 0.114
H5 0.177 0.113 0.225
H6 0.178 0.224 0.662
H7 0.332 0.667 0.897
H8 0.333 0.437 0.667
H9 0.333 0.897 0.436
H10 0.371 0.284 0.905
H11 0.371 0.906 0.811
H12 0.372 0.810 0.283
H13 0.628 0.190 0.717
H14 0.629 0.094 0.189
H15 0.629 0.716 0.095
H16 0.667 0.103 0.564
H17 0.667 0.563 0.333
H18 0.668 0.333 0.103
H19 0.822 0.776 0.338
H20 0.823 0.887 0.775
H21 0.824 0.338 0.886
H22 0.826 0.259 0.574
H23 0.827 0.167 0.258
H24 0.827 0.575 0.167
C1 0.267 0.346 0.798
C2 0.267 0.799 0.855
C3 0.268 0.855 0.346
C4 0.732 0.145 0.654
C5 0.733 0.201 0.145
C6 0.733 0.654 0.202
I1 0.238 0.334 0.333
I2 0.762 0.666 0.667
O1 0.167 0.788 0.008
O2 0.168 0.205 0.788
O3 0.170 0.007 0.205
O4 0.830 0.993 0.795
O5 0.832 0.795 0.212
O6 0.833 0.212 0.992

Entry 4:
Density functional theory data (GGA+U) for a relaxed KFe3HC11O11 crystal.

Output
space-group type: No. 14
spin magnetization: 0.0749 μB per atom

Unit cell a=12.475 b=9.198 c=15.677 alpha=90.00 beta=96.58 gamma=90.00
Atoms (fractional coordinates):
K1 0.210 0.188 0.023
K2 0.210 0.312 0.523
K3 0.790 0.688 0.477
K4 0.790 0.812 0.977
Fe1 0.136 0.698 0.241
Fe2 0.136 0.802 0.741
Fe3 0.211 0.729 0.898
Fe4 0.211 0.771 0.398
Fe5 0.369 0.696 0.282
Fe6 0.369 0.804 0.782
Fe7 0.631 0.196 0.218
Fe8 0.631 0.304 0.718
Fe9 0.789 0.229 0.602
Fe10 0.789 0.271 0.102
Fe11 0.864 0.198 0.259
Fe12 0.864 0.302 0.759
H1 0.151 0.658 0.807
H2 0.151 0.842 0.307
H3 0.849 0.158 0.693
H4 0.849 0.342 0.193
C1 0.008 0.180 0.266
C2 0.008 0.320 0.766
C3 0.095 0.708 0.955
C4 0.095 0.792 0.455
C5 0.137 0.658 0.664
C6 0.137 0.842 0.164
C7 0.149 0.590 0.349
C8 0.149 0.910 0.849
C9 0.166 0.544 0.177
C10 0.166 0.956 0.677
C11 0.266 0.550 0.918
C12 0.266 0.950 0.418
C13 0.301 0.668 0.474
C14 0.301 0.832 0.974
C15 0.345 0.615 0.753
C16 0.345 0.885 0.253
C17 0.364 0.508 0.317
C18 0.364 0.992 0.817
C19 0.417 0.647 0.179
C20 0.417 0.853 0.679
C21 0.493 0.732 0.351
C22 0.493 0.768 0.851
C23 0.507 0.232 0.149
C24 0.507 0.268 0.649
C25 0.583 0.147 0.321
C26 0.583 0.353 0.821
C27 0.636 0.008 0.183
C28 0.636 0.492 0.683
C29 0.655 0.115 0.747
C30 0.655 0.385 0.247
C31 0.699 0.168 0.026
C32 0.699 0.332 0.526
C33 0.734 0.050 0.582
C34 0.734 0.450 0.082
C35 0.834 0.044 0.323
C36 0.834 0.456 0.823
C37 0.851 0.090 0.151
C38 0.851 0.410 0.651
C39 0.863 0.158 0.836
C40 0.863 0.342 0.336
C41 0.905 0.208 0.545
C42 0.905 0.292 0.045
C43 0.992 0.680 0.234
C44 0.992 0.820 0.734
O1 0.016 0.697 0.988
O2 0.016 0.803 0.488
O3 0.101 0.165 0.271
O4 0.101 0.335 0.771
O5 0.128 0.562 0.615
O6 0.128 0.938 0.115
O7 0.131 0.030 0.875
O8 0.131 0.470 0.375
O9 0.181 0.057 0.634
O10 0.181 0.443 0.134
O11 0.294 0.068 0.437
O12 0.294 0.432 0.937
O13 0.342 0.006 0.232
O14 0.342 0.494 0.732
O15 0.351 0.594 0.524
O16 0.351 0.906 0.024
O17 0.367 0.112 0.839
O18 0.367 0.388 0.339
O19 0.426 0.247 0.606
O20 0.426 0.253 0.106
O21 0.448 0.614 0.116
O22 0.448 0.886 0.616
O23 0.552 0.114 0.384
O24 0.552 0.386 0.884
O25 0.574 0.747 0.894
O26 0.574 0.753 0.394
O27 0.633 0.612 0.661
O28 0.633 0.888 0.161
O29 0.649 0.094 0.976
O30 0.649 0.406 0.476
O31 0.658 0.506 0.268
O32 0.658 0.994 0.768
O33 0.706 0.568 0.063
O34 0.706 0.932 0.563
O35 0.819 0.557 0.866
O36 0.819 0.943 0.366
O37 0.869 0.530 0.625
O38 0.869 0.970 0.125
O39 0.872 0.062 0.885
O40 0.872 0.438 0.385
O41 0.899 0.665 0.229
O42 0.899 0.835 0.729
O43 0.984 0.197 0.512
O44 0.984 0.303 0.012

no.,DFT formation energy (eV per atom),mass density (g/cm³)
1,-1.42,2.15
2,-1.94,3.14
3,-0.58,1.83
4,-0.60,1.92